# Er2MgCd

A geometry-optimized Er2MgCd structure (GGA-PBE, the Materials Project database).

Lattice parameters (Å, degrees): 5.2880 5.2880 5.2880 60.00 60.00 60.00
Sites, in units of the cell vectors:
Er (0.7500, 0.7500, 0.7500)
Er (0.2500, 0.2500, 0.2500)
Cd (0.5000, 0.5000, 0.5000)
Mg (0.0000, 0.0000, 0.0000)

Its calculated density is 7.5 g/cm³. The calculation puts the formation energy at -183 meV/atom. Its total energy is -12.392 eV/f.u.